(1)
First-principles (PBE+U) data for a relaxed Li7Fe7P6O24F3 crystal, as listed in the Materials Project.

Unit cell a=6.410 b=13.596 c=13.600 alpha=60.10 beta=89.85 gamma=89.83
Sites, in units of the cell vectors:
1 Li 0.000 0.000 0.000
2 Li 0.000 0.105 0.559
3 Li 0.171 0.590 0.484
4 Li 0.497 0.846 0.636
5 Li 0.498 0.051 0.195
6 Li 0.498 0.300 0.313
7 Li 0.498 0.419 0.945
8 Li 0.498 0.742 0.077
9 Li 0.500 0.182 0.741
10 Li 0.671 0.256 0.152
11 Li 0.996 0.664 0.895
12 Li 0.998 0.547 0.322
13 Li 0.998 0.796 0.441
14 Li 0.999 0.428 0.690
15 Fe 0.248 0.923 0.818
16 Fe 0.249 0.501 0.115
17 Fe 0.250 0.220 0.945
18 Fe 0.251 0.050 0.395
19 Fe 0.255 0.627 0.695
20 Fe 0.255 0.801 0.236
21 Fe 0.256 0.342 0.522
22 Fe 0.748 0.923 0.818
23 Fe 0.750 0.627 0.692
24 Fe 0.750 0.797 0.241
25 Fe 0.751 0.346 0.521
26 Fe 0.755 0.505 0.114
27 Fe 0.756 0.045 0.399
28 Fe 0.756 0.220 0.940
29 P 0.002 0.170 0.754
30 P 0.002 0.436 0.934
31 P 0.003 0.040 0.188
32 P 0.003 0.293 0.331
33 P 0.497 0.677 0.881
34 P 0.501 0.987 0.001
35 P 0.502 0.106 0.571
36 P 0.502 0.807 0.447
37 P 0.503 0.410 0.701
38 P 0.503 0.553 0.305
39 P 0.998 0.859 0.635
40 P 0.999 0.741 0.064
41 O 0.000 0.608 0.125
42 O 0.000 0.931 0.502
43 O 0.001 0.231 0.826
44 O 0.003 0.036 0.828
45 O 0.004 0.464 0.032
46 O 0.005 0.138 0.063
47 O 0.006 0.168 0.358
48 O 0.197 0.786 0.673
49 O 0.198 0.779 0.099
50 O 0.201 0.206 0.681
51 O 0.203 0.042 0.250
52 O 0.203 0.373 0.936
53 O 0.204 0.355 0.268
54 O 0.299 0.640 0.955
55 O 0.302 0.793 0.391
56 O 0.303 0.480 0.688
57 O 0.303 0.496 0.375
58 O 0.304 0.061 0.963
59 O 0.304 0.068 0.536
60 O 0.494 0.811 0.807
61 O 0.496 0.554 0.189
62 O 0.496 0.922 0.449
63 O 0.497 0.294 0.817
64 O 0.500 0.616 0.810
65 O 0.500 0.915 0.134
66 O 0.501 0.912 0.941
67 O 0.502 0.239 0.511
68 O 0.503 0.047 0.705
69 O 0.504 0.678 0.277
70 O 0.505 0.709 0.572
71 O 0.506 0.383 0.603
72 O 0.696 0.642 0.955
73 O 0.701 0.059 0.963
74 O 0.701 0.069 0.535
75 O 0.703 0.805 0.386
76 O 0.704 0.473 0.700
77 O 0.704 0.491 0.368
78 O 0.801 0.786 0.672
79 O 0.802 0.054 0.244
80 O 0.802 0.367 0.948
81 O 0.802 0.778 0.102
82 O 0.803 0.350 0.261
83 O 0.804 0.206 0.680
84 O 0.994 0.800 0.931
85 O 0.996 0.293 0.447
86 O 0.996 0.552 0.819
87 O 0.996 0.934 0.695
88 O 0.997 0.925 0.187
89 F 0.014 0.649 0.573
90 F 0.015 0.442 0.544
91 F 0.016 0.679 0.336
92 F 0.514 0.405 0.092
93 F 0.515 0.167 0.299
94 F 0.516 0.197 0.062

Properties
For the total magnetic moment, the calculation gives 0.60 μB/atom. The value obtained for the volume is 10.9 Å³/atom. The raw total energy is -6.650 eV per atom. Its space group is P1, No. 1.

=====

(2)
First-principles (PBE+U) data for a relaxed Li3Fe2P2O8F2 crystal, as listed in the Materials Project.

Unit cell a=7.020 b=7.954 c=7.415 alpha=90.26 beta=63.44 gamma=88.00
Sites, in units of the cell vectors:
1 Li 0.750 0.250 0.500
2 Li 0.250 0.750 0.500
3 Li 0.417 0.170 0.846
4 Li 0.917 0.670 0.846
5 Li 0.583 0.830 0.154
6 Li 0.083 0.330 0.154
7 Fe 0.500 0.500 0.000
8 Fe 0.000 0.000 0.500
9 Fe 0.000 0.000 0.000
10 Fe 0.500 0.500 0.500
11 P 0.489 0.151 0.240
12 P 0.988 0.651 0.240
13 P 0.511 0.849 0.760
14 P 0.012 0.349 0.760
15 O 0.396 0.269 0.123
16 O 0.896 0.768 0.123
17 O 0.604 0.731 0.877
18 O 0.104 0.232 0.877
19 O 0.531 0.254 0.392
20 O 0.030 0.754 0.392
21 O 0.469 0.746 0.608
22 O 0.970 0.246 0.608
23 O 0.338 0.005 0.338
24 O 0.838 0.505 0.338
25 O 0.662 0.995 0.662
26 O 0.162 0.495 0.662
27 O 0.698 0.061 0.078
28 O 0.198 0.560 0.079
29 O 0.302 0.939 0.922
30 O 0.802 0.440 0.922
31 F 0.533 0.384 0.744
32 F 0.033 0.884 0.744
33 F 0.467 0.616 0.256
34 F 0.967 0.116 0.256

Properties
For the total magnetic moment, the calculation gives 0.00 μB/atom. The value obtained for the volume is 10.9 Å³/atom. The raw total energy is -6.449 eV per atom.

=====

(3)
First-principles (PBE+U) data for a relaxed Li2FePO4F crystal, as listed in the Materials Project.

Unit cell a=5.374 b=10.892 c=7.535 alpha=72.27 beta=71.54 gamma=95.00
Sites, in units of the cell vectors:
1 Li 0.842 0.227 0.118
2 Li 0.842 0.727 0.118
3 Li 0.485 0.417 0.862
4 Li 0.484 0.917 0.863
5 Li 0.510 0.029 0.478
6 Li 0.510 0.529 0.479
7 Li 0.228 0.276 0.705
8 Li 0.228 0.776 0.706
9 Fe 0.992 0.001 0.018
10 Fe 0.007 0.000 0.504
11 Fe 0.992 0.501 0.018
12 Fe 0.007 0.501 0.503
13 P 0.340 0.313 0.261
14 P 0.340 0.813 0.261
15 P 0.656 0.183 0.769
16 P 0.655 0.683 0.769
17 O 0.721 0.099 0.633
18 O 0.720 0.599 0.633
19 O 0.278 0.382 0.418
20 O 0.278 0.882 0.418
21 O 0.673 0.332 0.656
22 O 0.673 0.832 0.656
23 O 0.855 0.173 0.882
24 O 0.855 0.673 0.882
25 O 0.149 0.334 0.141
26 O 0.148 0.834 0.142
27 O 0.630 0.372 0.099
28 O 0.629 0.872 0.099
29 O 0.325 0.165 0.369
30 O 0.325 0.665 0.369
31 O 0.358 0.130 0.908
32 O 0.358 0.631 0.908
33 F 0.180 0.445 0.747
34 F 0.180 0.945 0.747
35 F 0.847 0.054 0.274
36 F 0.846 0.554 0.274

Properties
For the total magnetic moment, the calculation gives 0.00 μB/atom. The value obtained for the volume is 10.8 Å³/atom. As for the energy above the most stable polymorph in this dataset: 9 meV per atom.

=====

(4)
First-principles (PBE+U) data for a relaxed Li2VFeP2O8F2 crystal, as listed in the Materials Project.

Unit cell a=5.225 b=7.401 c=10.562 alpha=75.64 beta=97.58 gamma=71.40
Sites, in units of the cell vectors:
1 Li 0.462 0.621 0.192
2 Li 0.962 0.121 0.692
3 Li 0.538 0.379 0.808
4 Li 0.038 0.879 0.308
5 V 0.500 0.500 0.500
6 V 0.000 0.000 0.000
7 Fe 0.000 0.500 0.000
8 Fe 0.500 0.000 0.500
9 P 0.999 0.441 0.321
10 P 0.499 0.941 0.821
11 P 0.001 0.559 0.679
12 P 0.501 0.059 0.179
13 O 0.746 0.537 0.377
14 O 0.246 0.037 0.877
15 O 0.254 0.463 0.623
16 O 0.754 0.963 0.123
17 O 0.645 0.716 0.894
18 O 0.145 0.216 0.394
19 O 0.355 0.284 0.106
20 O 0.855 0.784 0.606
21 O 0.863 0.487 0.171
22 O 0.363 0.987 0.671
23 O 0.137 0.513 0.829
24 O 0.637 0.013 0.329
25 O 0.796 0.445 0.667
26 O 0.296 0.945 0.167
27 O 0.204 0.555 0.333
28 O 0.704 0.055 0.833
29 F 0.835 0.301 0.964
30 F 0.335 0.801 0.464
31 F 0.165 0.699 0.036
32 F 0.665 0.199 0.536

Properties
For the total magnetic moment, the calculation gives 0.00 μB/atom. The value obtained for the volume is 11.4 Å³/atom. As for the energy above the most stable polymorph in this dataset: 0 meV per atom.

=====

(5)
First-principles (PBE+U) data for a relaxed Li2VFeP2O8F2 crystal, as listed in the Materials Project.

Unit cell a=6.976 b=7.420 c=7.987 alpha=90.85 beta=91.61 gamma=117.64
Sites, in units of the cell vectors:
1 Li 0.056 0.312 0.173
2 Li 0.442 0.689 0.327
3 Li 0.558 0.311 0.673
4 Li 0.944 0.688 0.827
5 V 0.000 0.000 0.500
6 V 0.500 0.500 0.000
7 Fe 0.000 0.500 0.500
8 Fe 0.500 0.000 0.000
9 P 0.019 0.738 0.159
10 P 0.483 0.263 0.341
11 P 0.517 0.737 0.659
12 P 0.981 0.262 0.841
13 O 0.018 0.110 0.733
14 O 0.103 0.613 0.269
15 O 0.177 0.842 0.017
16 O 0.192 0.413 0.940
17 O 0.306 0.587 0.561
18 O 0.326 0.157 0.483
19 O 0.400 0.390 0.233
20 O 0.481 0.888 0.770
21 O 0.519 0.112 0.230
22 O 0.600 0.610 0.767
23 O 0.674 0.843 0.517
24 O 0.694 0.413 0.439
25 O 0.808 0.587 0.060
26 O 0.823 0.158 0.983
27 O 0.897 0.387 0.731
28 O 0.982 0.890 0.267
29 F 0.026 0.760 0.601
30 F 0.473 0.235 0.898
31 F 0.527 0.765 0.102
32 F 0.974 0.240 0.399

Properties
For the total magnetic moment, the calculation gives 0.44 μB/atom. The value obtained for the volume is 11.4 Å³/atom. Its space group is P-1, No. 2. As for the energy above the most stable polymorph in this dataset: 12 meV per atom.

=====

(6)
First-principles (PBE+U) data for a relaxed Li2VFeP2O8F2 crystal, as listed in the Materials Project.

Unit cell a=5.243 b=7.428 c=10.566 alpha=104.16 beta=97.64 gamma=108.85
Sites, in units of the cell vectors:
1 Li 0.036 0.116 0.308
2 Li 0.464 0.380 0.191
3 Li 0.536 0.620 0.809
4 Li 0.964 0.884 0.692
5 V 0.000 0.500 0.000
6 V 0.500 0.500 0.500
7 Fe 0.000 0.000 0.000
8 Fe 0.500 0.000 0.500
9 P 0.002 0.441 0.679
10 P 0.498 0.057 0.821
11 P 0.502 0.943 0.179
12 P 0.998 0.559 0.321
13 O 0.135 0.486 0.829
14 O 0.145 0.783 0.394
15 O 0.201 0.445 0.335
16 O 0.244 0.966 0.877
17 O 0.258 0.535 0.625
18 O 0.296 0.055 0.166
19 O 0.356 0.718 0.107
20 O 0.365 0.012 0.671
21 O 0.635 0.988 0.329
22 O 0.644 0.282 0.893
23 O 0.704 0.945 0.834
24 O 0.742 0.465 0.375
25 O 0.756 0.034 0.123
26 O 0.799 0.555 0.665
27 O 0.855 0.217 0.606
28 O 0.865 0.514 0.171
29 F 0.164 0.297 0.037
30 F 0.336 0.197 0.463
31 F 0.664 0.803 0.537
32 F 0.836 0.703 0.963

Properties
For the total magnetic moment, the calculation gives 0.44 μB/atom. The value obtained for the volume is 11.5 Å³/atom. Its space group is P-1, No. 2. As for the energy above the most stable polymorph in this dataset: 12 meV per atom.

=====

(7)
First-principles (PBE+U) data for a relaxed Li2VFeP2O8F2 crystal, as listed in the Materials Project.

Unit cell a=6.964 b=7.570 c=7.790 alpha=117.28 beta=91.19 gamma=90.49
Sites, in units of the cell vectors:
1 Li 0.000 0.000 0.000
2 Li 0.195 0.342 0.966
3 Li 0.499 0.500 0.500
4 Li 0.695 0.843 0.466
5 V 0.597 0.671 0.983
6 V 0.847 0.421 0.233
7 Fe 0.097 0.171 0.482
8 Fe 0.347 0.920 0.733
9 P 0.247 0.699 0.273
10 P 0.448 0.143 0.193
11 P 0.747 0.199 0.773
12 P 0.948 0.643 0.692
13 O 0.061 0.458 0.659
14 O 0.083 0.818 0.715
15 O 0.113 0.524 0.250
16 O 0.134 0.885 0.306
17 O 0.300 0.096 0.021
18 O 0.344 0.234 0.389
19 O 0.350 0.610 0.077
20 O 0.394 0.746 0.445
21 O 0.561 0.959 0.161
22 O 0.583 0.317 0.215
23 O 0.611 0.025 0.752
24 O 0.633 0.383 0.805
25 O 0.801 0.597 0.521
26 O 0.844 0.732 0.888
27 O 0.852 0.109 0.578
28 O 0.894 0.246 0.944
29 F 0.245 0.154 0.702
30 F 0.450 0.689 0.763
31 F 0.744 0.654 0.203
32 F 0.951 0.188 0.264

Properties
For the total magnetic moment, the calculation gives 0.44 μB/atom. The value obtained for the volume is 11.4 Å³/atom. Its space group is P1, No. 1. As for the energy above the most stable polymorph in this dataset: 12 meV per atom.

=====

(8)
First-principles (PBE+U) data for a relaxed Li2VFeP2O8F2 crystal, as listed in the Materials Project.

Unit cell a=5.225 b=7.412 c=15.018 alpha=94.19 beta=92.44 gamma=108.72
Sites, in units of the cell vectors:
1 Li 0.064 0.483 0.295
2 Li 0.269 0.851 0.038
3 Li 0.397 0.816 0.628
4 Li 0.603 0.184 0.372
5 Li 0.731 0.149 0.962
6 Li 0.936 0.517 0.705
7 V 0.000 0.000 0.500
8 V 0.333 0.833 0.833
9 V 0.667 0.167 0.167
10 Fe 0.000 0.500 0.500
11 Fe 0.333 0.333 0.833
12 Fe 0.667 0.667 0.167
13 P 0.109 0.048 0.286
14 P 0.224 0.285 0.047
15 P 0.443 0.383 0.620
16 P 0.557 0.617 0.380
17 P 0.776 0.715 0.953
18 P 0.891 0.952 0.714
19 O 0.012 0.152 0.763
20 O 0.048 0.830 0.916
21 O 0.092 0.834 0.721
22 O 0.139 0.289 0.947
23 O 0.195 0.042 0.386
24 O 0.238 0.498 0.612
25 O 0.286 0.504 0.418
26 O 0.323 0.182 0.571
27 O 0.346 0.486 0.096
28 O 0.381 0.163 0.250
29 O 0.426 0.168 0.055
30 O 0.472 0.623 0.280
31 O 0.528 0.377 0.720
32 O 0.574 0.832 0.945
33 O 0.619 0.837 0.750
34 O 0.654 0.514 0.904
35 O 0.677 0.818 0.429
36 O 0.714 0.496 0.582
37 O 0.762 0.502 0.388
38 O 0.805 0.958 0.614
39 O 0.861 0.711 0.053
40 O 0.908 0.166 0.279
41 O 0.952 0.170 0.084
42 O 0.988 0.848 0.237
43 F 0.154 0.786 0.524
44 F 0.179 0.545 0.809
45 F 0.487 0.122 0.858
46 F 0.513 0.878 0.142
47 F 0.821 0.455 0.191
48 F 0.846 0.214 0.476

Properties
For the total magnetic moment, the calculation gives 0.44 μB/atom. The value obtained for the volume is 11.4 Å³/atom. Its space group is P-1, No. 2. As for the energy above the most stable polymorph in this dataset: 1 meV per atom.